3
Lattice="2.794 0.000 0.000 0.000 2.901 0.000 0.000 0.000 5.997" Properties=species:S:1:pos:R:3 comment="PBE+U NiBrO, relaxed" formation_enthalpy_0k_mev_per_atom=-497 spacegroup="Pmmm (47)" pbc="T T T"
Ni 0.000 0.000 0.000
Br 0.000 0.000 2.999
O 1.397 1.451 0.000

---

12
Lattice="5.579 0.000 0.000 0.001 5.616 0.000 2.770 2.802 6.050" Properties=species:S:1:pos:R:3 comment="PBE+U PbWO4, relaxed" formation_enthalpy_0k_mev_per_atom=-2002 spacegroup="P-1 (2)" e_above_lowest_polymorph_mev_per_atom=52 pbc="T T T"
Pb 1.402 2.841 1.514
Pb 6.948 5.576 4.536
W 4.196 2.803 4.544
W 4.154 5.614 1.506
O 3.372 4.099 5.533
O 2.919 2.013 3.512
O 2.851 4.815 2.512
O 4.977 7.124 5.574
O 3.373 1.293 0.477
O 5.499 3.603 3.538
O 5.431 6.404 2.538
O 4.978 4.319 0.517

---

42
Lattice="8.315 0.000 0.000 0.000 5.366 0.000 -0.067 0.000 10.436" Properties=species:S:1:pos:R:3 comment="PBE+U Na2V2CuH4O6F6, relaxed" formation_enthalpy_0k_mev_per_atom=-2169 spacegroup="P2_1/c (14)" pbc="T T T"
Na 0.397 0.270 1.697
Na 0.364 2.413 6.915
Na 7.884 2.953 3.521
Na 7.851 5.096 8.739
V 1.756 2.944 0.044
V 1.723 5.105 5.262
V 6.525 0.261 5.173
V 6.492 2.422 10.391
Cu 4.157 0.000 0.000
Cu 4.124 2.683 5.218
H 2.841 2.995 2.995
H 2.808 5.054 8.213
H 4.014 2.995 7.710
H 4.047 5.054 2.492
H 4.202 0.312 7.944
H 4.235 2.371 2.726
H 5.440 0.312 2.223
H 5.407 2.371 7.441
O 2.467 3.609 5.685
O 2.500 4.440 0.467
O 2.945 0.756 4.864
O 2.912 1.927 10.082
O 3.798 3.111 3.213
O 3.765 4.938 8.431
O 4.484 0.428 2.005
O 4.450 2.255 7.223
O 5.337 3.439 0.354
O 5.303 4.610 5.572
O 5.748 0.926 9.969
O 5.782 1.757 4.751
F 0.205 1.179 4.854
F 0.172 1.504 10.072
F 1.274 3.484 8.706
F 1.307 4.565 3.488
F 1.448 0.345 7.059
F 1.481 2.338 1.841
F 6.768 3.028 8.595
F 6.801 5.021 3.377
F 6.941 0.801 6.948
F 6.974 1.882 1.730
F 8.077 3.862 0.363
F 8.044 4.187 5.581

---

14
Lattice="3.039 0.000 0.000 -0.347 7.707 0.000 -1.206 -3.604 6.799" Properties=species:S:1:pos:R:3 comment="PBE+U MgZnCo4O8, relaxed" formation_enthalpy_0k_mev_per_atom=-1372 spacegroup="P1 (1)" e_above_lowest_polymorph_mev_per_atom=85 pbc="T T T"
Mg 0.000 0.000 0.000
Zn 1.483 2.663 1.978
Co -0.306 5.517 3.652
Co -0.041 1.566 4.783
Co 1.183 5.325 1.050
Co 1.536 -0.995 6.115
O -0.296 3.925 0.660
O -0.349 6.434 1.788
O -0.086 -0.281 5.037
O -0.034 2.793 6.216
O 1.523 1.474 0.435
O 1.192 4.475 2.810
O 1.479 1.840 3.733
O 1.590 -2.424 4.967

---

26
Lattice="3.888 -11.518 0.000 3.888 11.518 0.000 -3.839 0.000 3.887" Properties=species:S:1:pos:R:3 comment="PBE+U Sr2GdCoCu2O7, relaxed" formation_enthalpy_0k_mev_per_atom=-1866 spacegroup="Cm (8)" pbc="T T T"
Sr 3.888 9.275 0.000
Sr -0.042 2.247 3.798
Sr -0.042 -2.247 3.798
Sr 3.888 -9.275 0.000
Gd 0.005 5.759 3.843
Gd 0.005 -5.759 3.843
Co 2.038 0.000 2.267
Co 5.444 0.000 1.782
Cu 1.926 7.426 1.895
Cu 1.928 4.090 1.897
Cu 1.928 -4.090 1.897
Cu 1.926 -7.426 1.895
O -1.952 4.303 3.837
O -0.015 4.307 1.912
O 2.169 9.808 1.964
O 1.848 1.711 1.664
O -1.952 -4.303 3.837
O -0.015 -4.307 1.912
O 1.848 -1.711 1.664
O 3.871 4.232 1.892
O 1.957 4.236 3.841
O 0.931 0.000 3.853
O 3.868 0.000 2.903
O 3.871 -4.232 1.892
O 1.957 -4.236 3.841
O 2.169 -9.808 1.964

---

56
Lattice="8.256 0.000 0.000 0.000 8.275 0.000 0.000 0.000 8.805" Properties=species:S:1:pos:R:3 comment="PBE+U Li2Ni3WO8, relaxed" formation_enthalpy_0k_mev_per_atom=-1645 spacegroup="P2_12_12_1 (19)" e_above_lowest_polymorph_mev_per_atom=22 pbc="T T T"
Li 0.053 0.036 4.347
Li 1.870 6.217 2.148
Li 2.258 2.057 6.551
Li 4.075 8.239 8.750
Li 4.181 4.101 4.458
Li 5.998 6.195 6.657
Li 6.385 2.080 2.255
Li 8.203 4.173 0.055
Ni 1.004 3.121 3.324
Ni 1.017 1.044 1.142
Ni 1.113 7.251 7.741
Ni 3.015 1.024 3.338
Ni 3.111 7.231 5.545
Ni 3.124 5.153 7.727
Ni 5.132 1.016 5.481
Ni 5.145 3.094 7.663
Ni 5.241 5.161 1.065
Ni 7.143 3.114 5.467
Ni 7.239 5.181 3.261
Ni 7.252 7.259 1.078
W 0.996 5.143 5.610
W 3.132 3.132 1.208
W 5.124 7.270 3.195
W 7.260 1.005 7.598
O 0.894 7.424 0.955
O 0.907 1.068 7.637
O 0.910 5.079 3.532
O 1.044 1.243 3.184
O 1.073 3.249 5.464
O 1.148 5.158 7.542
O 1.154 2.976 1.131
O 1.185 7.115 5.557
O 2.943 1.159 1.154
O 2.974 5.299 5.534
O 2.980 3.116 3.139
O 3.055 5.026 1.061
O 3.084 7.032 7.587
O 3.218 3.196 7.934
O 3.221 7.207 3.234
O 3.234 0.851 5.357
O 5.022 4.988 7.851
O 5.035 3.070 1.169
O 5.038 7.333 5.274
O 5.172 2.894 5.621
O 5.201 0.889 3.341
O 5.276 7.254 1.264
O 5.282 1.161 7.674
O 5.313 5.297 3.248
O 7.071 2.978 7.651
O 7.102 7.113 3.272
O 7.108 1.021 5.666
O 7.183 7.386 7.744
O 7.212 5.381 1.218
O 7.346 0.942 0.871
O 7.349 5.205 5.571
O 7.362 3.286 3.448